# Sc2Cu2Ge4O13 (GGA-PBE, relaxed)
# Electronic total energy ... -6.838 eV/atom
# Energy of formation ... -2326 meV/atom
data_Sc2Cu2Ge4O13
_chemical_formula_sum 'Sc4 Cu4 Ge8 O26'
_space_group_name_H-M_alt 'P 1 21/m 1'
_space_group_IT_number 11
_space_group_name_Hall '-P 2yb'
_cell_length_a 4.9814
_cell_length_b 8.8722
_cell_length_c 12.4396
_cell_angle_alpha 90.00
_cell_angle_beta 96.06
_cell_angle_gamma 90.00
loop_
_atom_site_label
_atom_site_type_symbol
_atom_site_fract_x
_atom_site_fract_y
_atom_site_fract_z
Sc1 Sc 0.0461 0.0618 0.3728
Cu1 Cu 0.0472 0.5023 0.1229
Ge1 Ge 0.3248 0.2500 0.7511
Ge2 Ge 0.3903 0.2500 0.9927
Ge3 Ge 0.3980 0.7500 0.4852
Ge4 Ge 0.4908 0.2500 0.2330
O1 O 0.1244 0.0846 0.7476
O2 O 0.1974 0.0830 0.9956
O3 O 0.2072 0.5830 0.4948
O4 O 0.2112 0.7500 0.6765
O5 O 0.2862 0.0873 0.2416
O6 O 0.2901 0.2500 0.4328
O7 O 0.3653 0.7500 0.8934
O8 O 0.4466 0.7500 0.1273
O9 O 0.4523 0.7500 0.3470